{"formula": "MgIn2", "functional": "r2SCAN", "state": "relaxed", "lattice": [[6.474, -1.643, 0.000], [6.474, 1.643, 0.000], [-2.151, 0.000, 6.831]], "species": ["Mg", "Mg", "In", "In", "In", "In"], "fractional_positions": [[0.141, 0.141, 0.032], [0.859, 0.859, 0.968], [0.195, 0.195, 0.642], [0.476, 0.476, 0.705], [0.524, 0.524, 0.295], [0.805, 0.805, 0.358]], "ef_mev_per_atom": -49}